(1)
This record from Materials Project describes a geometry-optimized CdIn2SeS3 structure. The functional is PBE.

Cell and atoms, written as CIF:
```
data_CdIn2SeS3
_chemical_formula_sum 'Cd4 In8 Se4 S12'
_cell_length_a 7.8785
_cell_length_b 7.9353
_cell_length_c 11.1809
_cell_angle_alpha 90.00
_cell_angle_beta 90.00
_cell_angle_gamma 90.00
_space_group_name_H-M_alt 'I m m 2'
_space_group_IT_number 44
_space_group_name_Hall 'I 2 -2'
loop_
_atom_site_label
_atom_site_type_symbol
_atom_site_fract_x
_atom_site_fract_y
_atom_site_fract_z
Cd1 Cd 0.0000 0.0000 0.0000
Cd2 Cd 0.0000 0.5000 0.2399
In1 In 0.0000 0.2503 0.6270
In2 In 0.2439 0.5000 0.8736
Se1 Se 0.0000 0.2336 0.3821
S1 S 0.0000 0.2690 0.8642
S2 S 0.2286 0.0000 0.6133
S3 S 0.2291 0.5000 0.6341
```

Computed properties:
Magnetization, μB per formula unit: 0.000
Energy relative to the elements, eV/atom: -0.783
Mass density, Mg/m³: 4.9
Calculated total energy, eV/atom: -3.76


(2)
This record from Materials Project describes a geometry-optimized K3Ta2Ag3Se8 structure. The functional is PBE.

Cell and atoms, written as CIF:
```
data_K3Ta2Ag3Se8
_chemical_formula_sum 'K12 Ta8 Ag12 Se32'
_cell_length_a 25.7417
_cell_length_b 6.1741
_cell_length_c 14.7647
_cell_angle_alpha 90.00
_cell_angle_beta 119.37
_cell_angle_gamma 90.00
_space_group_name_H-M_alt 'C 1 2/c 1'
_space_group_IT_number 15
_space_group_name_Hall '-C 2yc'
loop_
_atom_site_label
_atom_site_type_symbol
_atom_site_fract_x
_atom_site_fract_y
_atom_site_fract_z
K1 K 0.0000 0.0000 0.0000
K2 K 0.1959 0.4226 0.1075
Ta1 Ta 0.1280 0.3055 0.7814
Ag1 Ag 0.0000 0.3078 0.7500
Ag2 Ag 0.1290 0.1942 0.2910
Se1 Se 0.0466 0.4709 0.1513
Se2 Se 0.0978 0.0958 0.8901
Se3 Se 0.1590 0.0766 0.6821
Se4 Se 0.2140 0.4818 0.3971
```

Computed properties:
Magnetization, μB per formula unit: 0.001
Energy relative to the elements, eV/atom: -1.049
Mass density, Mg/m³: 4.7
Calculated total energy, eV/atom: -4.78


(3)
This record from Materials Project describes a geometry-optimized Gd2AgRu structure. The functional is PBE.

Cell and atoms, written as CIF:
```
data_Gd2AgRu
_chemical_formula_sum 'Gd8 Ag4 Ru4'
_cell_length_a 7.0842
_cell_length_b 7.0842
_cell_length_c 7.0842
_cell_angle_alpha 90.00
_cell_angle_beta 90.00
_cell_angle_gamma 90.00
_space_group_name_H-M_alt 'F m -3 m'
_space_group_IT_number 225
_space_group_name_Hall '-F 4 2 3'
loop_
_atom_site_label
_atom_site_type_symbol
_atom_site_fract_x
_atom_site_fract_y
_atom_site_fract_z
Gd1 Gd 0.2500 0.2500 0.2500
Ag1 Ag 0.0000 0.0000 0.0000
Ru1 Ru 0.0000 0.0000 0.5000
```

Computed properties:
Energy relative to the elements, eV/atom: -0.308
Mass density, Mg/m³: 9.8
Calculated total energy, eV/atom: -10.37


> The highest energy relative to the elements belongs to which entry?

Gd2AgRu